Here is a geometry-optimized AlV2O4 structure from the Materials Project database. Energies are from PBE with a Hubbard U.

## Properties
Magnetization, μB/cell: 20.0
DFT formation energy, meV/atom: -2558
Relative energy among the computed polymorphs, eV/atom: 0.207
Uncorrected energy, eV/atom: -7.637

The structure in CIF format:
```
data_AlV2O4
_chemical_formula_sum 'Al4 V8 O16'
_space_group_name_H-M_alt 'I m m a'
_space_group_IT_number 74
_space_group_name_Hall '-I 2b 2'
_cell_length_a 5.9063
_cell_length_b 6.0508
_cell_length_c 8.3291
_cell_angle_alpha 90.00
_cell_angle_beta 90.00
_cell_angle_gamma 90.00
loop_
_atom_site_label
_atom_site_type_symbol
_atom_site_fract_x
_atom_site_fract_y
_atom_site_fract_z
Al1 Al 0.2500 0.2500 0.2500
V1 V 0.0000 0.0000 0.0000
V2 V 0.2500 0.2500 0.7500
O1 O 0.0000 0.0280 0.2465
O2 O 0.2246 0.2500 0.0172
```